# 1
First-principles (PBE-GGA) data for crystalline Na10Mg4Ga4Si3S9O48 at its relaxed geometry, as listed in the Materials Project database. Values from VASP.

Cell and atoms, written as Quantum ESPRESSO input:
```
&SYSTEM
  ibrav = 0, nat = 234, ntyp = 6
/
ATOMIC_SPECIES
Na 22.99 Na.upf
Mg 24.30 Mg.upf
Ga 69.72 Ga.upf
Si 28.09 Si.upf
S 32.06 S.upf
O 16.00 O.upf
ATOMIC_POSITIONS angstrom
Na 0.0000 0.0000 0.0000
Na -0.0375 4.4459 14.9168
Na 0.3704 10.5549 0.3059
Na 0.3631 -0.2296 15.1771
Na 1.4825 12.3376 18.8325
Na 1.5367 2.4774 11.4606
Na 1.6425 2.2442 3.9600
Na 1.6275 12.1504 11.3908
Na 1.8654 1.7775 18.5434
Na 1.8954 7.1512 11.2543
Na 1.9161 12.5568 3.7358
Na 3.0417 10.2094 2.0705
Na 3.0507 4.7682 9.4133
Na 3.1769 -0.4816 16.8819
Na 3.2295 4.3842 20.5676
Na 3.2758 9.6680 13.2927
Na 3.3363 -0.0441 5.7795
Na 4.4245 12.0649 14.8847
Na 4.4848 7.5751 0.1056
Na 4.8415 2.9420 0.3043
Na 5.9411 10.0922 11.4805
Na 6.0480 4.4916 11.3904
Na 6.0666 9.8634 3.9562
Na 6.3676 4.9365 3.7286
Na 7.3881 12.5417 9.4710
Na 7.4945 2.6007 2.0477
Na 7.4902 7.2114 16.8533
Na 7.5164 11.9776 20.5272
Na 7.5866 2.0257 13.2195
Na 7.7514 7.5643 5.7723
Mg 3.0554 9.9601 5.3556
Mg 3.0837 4.5916 12.8072
Mg 3.1001 -0.7855 20.1514
Mg 3.2406 -0.3404 9.0280
Mg 3.2685 5.0506 1.6676
Mg 3.2351 9.4823 16.4332
Mg 7.4485 12.2270 12.7741
Mg 7.5035 2.3409 5.3592
Mg 7.5222 6.8108 20.1468
Mg 7.6377 1.9255 16.4861
Mg 7.6591 7.2778 9.0262
Mg 7.6779 12.6734 1.6574
Ga 3.1827 4.8071 6.0899
Ga 3.1787 4.4076 17.1433
Ga 3.1568 9.5130 20.9116
Ga 3.1891 9.9960 9.7208
Ga 3.2392 -0.4203 13.5035
Ga 3.3114 -0.0504 2.3771
Ga 7.5316 12.0447 17.2464
Ga 7.5674 7.1603 13.5830
Ga 7.5948 1.8530 20.8345
Ga 7.6053 12.4346 6.0923
Ga 7.6289 2.2660 9.7754
Ga 7.7529 7.5520 2.3621
Si -0.0314 -0.4035 18.6641
Si 0.0135 5.0275 11.2828
Si 0.0343 10.3130 3.8266
Si 1.8789 2.2593 14.9439
Si 1.9027 13.0683 0.1794
Si 4.4910 2.6916 3.8342
Si 4.4697 12.6650 11.2533
Si 6.3192 9.8800 14.9698
Si 6.3723 5.4504 0.1672
S -0.0057 14.8357 3.9437
S 0.0410 9.4539 11.2720
S 0.0509 4.1490 18.6711
S 0.5533 -0.3596 11.2667
S 0.5630 9.4134 18.7130
S 0.6337 5.0330 3.9475
S 1.2931 12.1368 15.0006
S 1.3521 2.3272 7.5880
S 1.3604 7.6733 0.1591
S 1.7939 12.1891 7.5769
S 1.8661 2.3271 0.2151
S 1.8662 6.7709 15.0160
S 1.9202 7.6683 7.6004
S 4.4002 7.2137 18.7003
S 4.4427 7.2200 3.9468
S 4.4679 11.6755 18.7033
S 4.5145 1.8288 11.2674
S 4.9810 1.9094 18.7041
S 5.0021 7.2467 11.2661
S 5.0528 12.6459 3.9459
S 5.7370 4.5550 15.0126
S 5.7875 0.0545 0.1875
S 5.7887 9.9428 7.5782
S 6.2541 4.5588 7.5971
S 6.2790 9.9276 0.1806
S 6.2572 14.4081 15.0219
S 6.3692 0.0507 7.5839
O 0.2493 2.0991 15.0725
O 0.2717 12.8989 0.2897
O 0.3038 12.3054 7.4807
O 0.3855 2.3923 0.0979
O 0.3728 6.8034 14.9351
O 0.4591 7.5336 7.7101
O 0.4466 12.3478 16.2129
O 0.5113 2.2140 6.3873
O 0.5081 2.4613 8.8416
O 0.4774 6.6580 21.1798
O 0.4934 12.0713 13.7646
O 0.5392 7.9654 1.3914
O 1.3640 -0.1059 12.5120
O 1.3882 14.7311 10.0920
O 1.3967 9.5905 19.9861
O 1.4413 5.2292 5.1927
O 1.4659 4.8981 2.7545
O 1.4342 9.3117 17.5449
O 1.4886 14.9231 3.8809
O 1.5404 9.5264 11.0993
O 1.5587 4.2388 18.5972
O 1.6039 -0.5694 18.7950
O 1.6268 4.8117 11.4084
O 1.6350 10.2169 4.0368
O 2.0202 11.3338 8.8169
O 2.1108 1.4536 1.4149
O 2.1106 3.2047 13.6728
O 2.1065 13.0860 21.1124
O 2.1696 3.5886 7.5566
O 2.1440 5.8547 16.1708
O 2.1514 10.9381 15.1144
O 2.2024 6.4755 0.3261
O 2.1841 13.3519 14.9771
O 2.2255 1.1457 7.7073
O 2.2394 8.5148 6.4618
O 2.2766 8.8735 0.0868
O 2.3841 11.5485 6.3988
O 2.3804 13.5244 7.7157
O 2.4246 3.6767 0.3754
O 2.3858 8.1201 15.2080
O 2.4391 6.2494 13.7582
O 2.4603 0.8453 21.2189
O 2.4956 8.2692 8.8879
O 2.5174 2.8779 16.3532
O 2.5389 13.6914 1.6014
O 2.5530 0.7311 14.8071
O 2.5659 11.5289 0.0781
O 2.5603 6.3099 7.4962
O 3.6514 3.3073 5.1527
O 3.7109 1.2097 3.6961
O 3.6985 13.2204 12.6568
O 3.7142 11.0989 11.1455
O 3.7622 5.8473 18.5660
O 3.8377 1.2882 10.0904
O 3.8167 7.7803 19.9928
O 3.8758 6.7019 2.6961
O 3.8355 11.0993 17.5042
O 3.8677 13.0128 18.8661
O 3.9397 8.5983 4.1215
O 3.9866 3.2164 11.4418
O 4.0716 8.4224 11.1672
O 4.0723 13.5468 10.0130
O 4.0809 3.1302 18.6464
O 4.0950 0.7209 18.8064
O 4.0805 8.0671 17.5674
O 4.1167 13.8032 3.8866
O 4.1584 6.3258 5.1114
O 4.1749 6.0119 11.4134
O 4.2236 11.3988 4.0591
O 4.2551 3.6361 2.5550
O 4.2130 10.8044 19.9037
O 4.2868 1.0140 12.4870
O 4.7411 5.2636 0.3047
O 4.6989 9.7522 15.1508
O 4.7584 4.6874 7.4984
O 4.7840 9.9620 0.0065
O 4.7662 14.4667 14.8765
O 4.8724 4.7474 16.2163
O 4.9096 -0.0835 7.7082
O 4.8834 14.2813 21.1995
O 4.9612 0.2974 1.4225
O 4.9400 9.8258 6.3829
O 4.9443 10.0620 8.8373
O 4.9539 4.4704 13.7651
O 5.7622 2.0669 19.9744
O 5.8216 7.5031 12.4824
O 5.8301 7.0948 10.0699
O 5.8345 1.8067 17.5285
O 5.8604 12.8404 5.1886
O 5.8598 7.0802 18.8139
O 5.8853 12.5074 2.7533
O 5.9350 7.3077 3.8855
O 5.9352 11.7859 18.6122
O 6.0001 1.9576 11.1143
O 6.0512 12.3809 11.3712
O 6.0922 2.6018 4.0360
O 6.4684 9.0748 1.4056
O 6.4914 3.7126 8.8315
O 6.4754 13.5417 16.2107
O 6.5017 10.7899 13.6457
O 6.5348 5.5952 21.2087
O 6.5741 3.3376 15.1328
O 6.6011 11.2003 7.5517
O 6.6124 14.0874 0.3287
O 6.6734 1.2650 0.1499
O 6.6691 0.8785 6.4234
O 6.6511 5.7362 14.9966
O 6.6572 8.7560 7.6956
O 6.7959 11.2893 0.3608
O 6.8104 0.5384 15.1891
O 6.8294 3.9305 6.4059
O 6.8468 5.8971 7.7369
O 6.9163 13.8524 13.8299
O 6.9193 8.4413 21.2258
O 6.9661 0.6520 8.8443
O 7.0096 6.0415 1.6226
O 6.9818 13.9183 7.4737
O 6.9932 3.0070 22.1988
O 7.0036 10.5887 16.3066
O 7.0523 8.3851 14.8375
O 8.0725 10.9297 5.1443
O 8.1197 5.6015 12.6756
O 8.1319 8.8261 3.6734
O 8.1645 3.4995 11.1228
O 8.1680 13.2798 18.5356
O 8.2014 0.2736 20.0606
O 8.2326 8.9279 10.0850
O 8.2987 14.3133 2.6979
O 8.3491 5.4783 18.8493
O 8.3961 0.9844 4.1204
O 8.3786 3.5743 17.4316
O 8.4302 10.8371 11.4685
O 8.5418 0.8518 11.1571
O 8.5762 6.1955 3.8896
O 8.5692 8.2335 18.8375
O 8.5913 13.9412 5.1099
O 8.6048 13.6349 11.4211
O 8.6251 0.5417 17.3910
O 8.6385 6.0393 10.0861
O 8.6262 10.6690 18.6791
O 8.6780 3.7890 4.0619
O 8.6733 11.2536 2.5428
O 8.6985 3.2316 19.8371
O 8.7207 8.5783 12.4570
CELL_PARAMETERS angstrom
8.8741 0.0000 0.0000
-0.0257 15.2303 0.0000
-0.0461 -0.9119 22.2054
```

Calculated values
Corrected total energy (MP2020 scheme)   -0.4729 Ry/atom
Electronic total energy   -6.01 eV per atom
Volume   12.83 Å³ per atom
Formation enthalpy at 0 K   -2296 meV/atom

***

# 2
First-principles (PBE-GGA) data for crystalline ErCuS2 at its relaxed geometry, as listed in the Materials Project database. Values from VASP.

Cell and atoms, written as Quantum ESPRESSO input:
```
&SYSTEM
  ibrav = 0, nat = 16, ntyp = 3
/
ATOMIC_SPECIES
Er 167.26 Er.upf
Cu 63.55 Cu.upf
S 32.06 S.upf
ATOMIC_POSITIONS angstrom
Er 1.7773 0.9829 0.0066
Er 4.8876 2.9487 3.1221
Er 8.4421 0.9829 3.1089
Er 11.5525 2.9487 6.2244
Cu 0.6042 2.9487 2.3314
Cu 6.0606 0.9829 5.4469
Cu 7.2691 2.9487 0.7840
Cu 12.7255 0.9829 3.8995
S 0.5342 2.9487 4.7031
S 2.7404 2.9487 1.4828
S 3.9245 0.9829 4.5983
S 6.1306 0.9829 1.5876
S 7.1991 2.9487 4.6434
S 9.4053 2.9487 1.6327
S 10.5893 0.9829 4.7482
S 12.7955 0.9829 1.5279
CELL_PARAMETERS angstrom
13.3297 0.0000 0.0000
0.0000 3.9316 0.0000
0.0000 0.0000 6.2310
```

Calculated values
Corrected total energy (MP2020 scheme)   -0.4306 Ry/atom
Electronic total energy   -5.61 eV per atom
Volume   20.41 Å³ per atom
Formation enthalpy at 0 K   -1624 meV/atom

***

# 3
First-principles (PBE-GGA) data for crystalline NaMg6Cd at its relaxed geometry, as listed in the Materials Project database. Values from VASP.

Cell and atoms, written as Quantum ESPRESSO input:
```
&SYSTEM
  ibrav = 0, nat = 16, ntyp = 3
/
ATOMIC_SPECIES
Na 22.99 Na.upf
Mg 24.30 Mg.upf
Cd 112.41 Cd.upf
ATOMIC_POSITIONS angstrom
Na 2.6289 0.0000 1.8550
Na 2.6289 3.2095 7.4155
Mg 2.6289 1.5983 4.6327
Mg 2.6289 4.8206 4.6327
Mg 0.0000 4.8058 0.9255
Mg 0.0000 1.6131 0.9255
Mg 0.0000 0.0000 3.7152
Mg 0.0000 3.2095 3.7054
Mg 2.6289 4.8078 10.1932
Mg 2.6289 1.6111 10.1932
Mg 0.0000 1.5964 6.4860
Mg 0.0000 4.8225 6.4860
Mg 0.0000 3.2095 9.2757
Mg 0.0000 0.0000 9.2659
Cd 2.6289 3.2095 1.8500
Cd 2.6289 0.0000 7.4105
CELL_PARAMETERS angstrom
5.2577 0.0000 0.0000
0.0000 6.4189 0.0000
0.0000 0.0000 11.1210
```

Calculated values
Electronic total energy   -1.47 eV per atom
Volume   23.46 Å³ per atom
Formation enthalpy at 0 K   14 meV/atom